Run 1
Li3VFe3O8 (GGA+U, relaxed); magnetic moment = 16.00 μB/f.u.; space-group type = No. 2; ρ = 4.04 Mg/m³
1.0
5.9168 0.0000 0.0000
-2.9329 5.1891 0.0000
-0.0372 -3.4218 4.9193
O Fe Li V
8 3 3 1
Cartesian
2.7432 -0.3052 3.8389
1.2477 2.2967 3.8636
4.5599 -0.6733 1.1254
1.6989 -0.5293 1.0557
0.2034 2.0726 1.0805
3.0971 2.1501 1.0594
-1.6132 2.4407 3.7939
-0.1504 -0.3827 3.8599
1.4919 2.5946 0.0000
2.9584 0.0000 0.0000
-1.4665 2.5946 0.0000
2.9398 -1.7109 2.4597
-1.4851 0.8837 2.4597
1.4733 0.8837 2.4597
0.0000 0.0000 0.0000

---

Run 2
Li3VFe3O8 (GGA+U, relaxed); magnetic moment = 16.00 μB/f.u.; space-group type = No. 1; ρ = 4.20 Mg/m³
1.0
-2.9517 5.1075 -0.0080
-5.9079 -0.0019 -0.0020
-0.0143 0.0174 9.6218
Li Fe O V
6 6 16 2
Cartesian
-1.5585 0.9040 4.2561
-7.3235 4.2287 9.0672
-5.9169 1.8057 9.0669
-4.5188 4.2237 9.0650
-2.9571 3.3251 4.2557
-4.3610 0.9003 4.2599
-4.4451 4.2379 2.0491
-7.3726 4.2551 2.0366
-2.9522 3.3972 6.8574
-5.8941 1.7281 2.0476
-1.5041 0.8768 6.8632
-4.4216 0.8653 6.8555
-0.0173 0.0162 7.8999
-4.4588 4.2465 5.6750
-7.2146 2.6652 3.3436
-5.9072 3.4091 0.9216
-1.5066 0.8777 0.8598
-4.2606 2.4598 8.1618
-1.6555 2.4730 8.1446
-4.5998 2.6532 3.3317
-4.4374 0.8562 0.8722
-2.9591 1.7113 5.7348
-2.9581 3.3949 0.8796
-5.9132 1.7336 5.6817
-0.0127 0.0118 3.0922
-5.9167 4.9171 3.3366
-7.3901 4.2648 5.6798
-2.9726 0.2029 8.1517
-5.9089 3.4137 4.7139
-2.9552 1.7144 9.5279

---

Run 3
Li3VFe3O8 (GGA+U, relaxed); space-group type = No. 12; ρ = 4.04 Mg/m³
1.0
-0.5869 -3.8211 -4.5536
0.1133 -5.8973 0.9425
-5.0358 -3.1984 -0.5667
O Fe V Li
8 3 1 3
Cartesian
-1.1695 -6.1672 -0.5689
-4.3398 -6.7496 -3.6088
-3.9970 -4.7926 -1.3013
-3.9854 -7.8004 -0.8271
-1.5239 -5.1164 -3.3506
-4.3029 -9.6487 -3.0968
-1.2065 -3.2681 -1.0809
-1.5123 -8.1242 -2.8764
-0.2368 -4.8592 -1.8055
0.0567 -2.9487 0.4713
-0.2935 -1.9105 -2.2768
0.0000 0.0000 0.0000
-2.4612 -4.5479 0.1879
-2.8113 -3.5097 -2.5601
-2.7547 -6.4584 -2.0889

---

Relative energies, in eV/atom, with the most stable structure set to zero: run 1 0.358; run 2 0.000; run 3 0.013.

---

Run 1
Li3VFe3O8 (GGA+U, relaxed); magnetic moment = 16.00 μB/f.u.; space-group type = No. 166; ρ = 4.00 Mg/m³
1.0
-7.8861 -3.1771 6.0496
-8.6527 -5.7867 0.7262
-10.6394 -8.5114 5.7044
O Li Fe V
8 3 3 1
Cartesian
-12.1563 -9.1829 4.6499
-7.1358 -5.1151 1.7807
-11.7904 -7.9373 7.1909
-7.8892 -6.3113 4.2299
-10.9901 -6.7552 4.8940
-16.1880 -10.7200 7.5861
-6.7351 -3.7512 4.5631
-2.7502 -2.2001 1.4745
-13.5891 -8.7376 6.2401
-9.2627 -5.8442 5.8770
-9.6460 -7.1490 3.2153
-3.9430 -1.5886 3.0248
-8.2694 -4.4819 3.3879
-4.3263 -2.8933 0.3631
0.0000 0.0000 0.0000

---

Run 2
Li3VFe3O8 (GGA+U, relaxed); magnetic moment = 16.00 μB/f.u.; space-group type = No. 9; ρ = 4.22 Mg/m³
1.0
0.7594 -3.5289 -4.6696
2.3377 5.4192 0.0437
8.0536 -3.4831 3.9160
O Fe Li V
16 6 6 2
Cartesian
9.3900 0.7771 2.8283
8.2157 -1.9538 2.8164
3.8555 2.9933 -1.6144
2.8111 0.5736 -1.6234
6.7800 -1.4955 0.1620
8.5658 -3.6892 0.4478
5.0627 1.0213 0.0537
8.5540 -0.4662 -1.9662
3.9251 -1.7082 0.0705
4.3056 -3.4774 -2.2880
5.7447 -3.8723 0.1178
2.4719 2.1442 0.4115
9.7500 -0.9854 0.5407
4.5254 1.2648 -3.9297
5.4485 -0.8015 -2.2377
7.1213 -3.0630 -1.9291
7.3713 -4.7491 -0.8081
8.5096 -2.0869 -0.7867
4.7525 1.1836 -1.9394
6.9979 -3.0142 1.5358
4.3890 2.9144 0.3532
3.2329 0.2114 0.3595
1.5082 -2.1517 -3.6350
6.5595 1.9152 1.3825
1.1393 -0.4849 -1.3900
5.4400 -0.6735 1.3860
6.9132 0.2507 -0.8268
2.6075 0.4111 -3.6177
1.9032 2.3957 -1.5120
5.4083 -2.3033 -1.1118

---

Relative energies, in eV/atom, with the most stable structure set to zero: run 1 0.000; run 2 0.009.

---

Run 1
Li4V3Fe3W2O16 (GGA+U, relaxed); magnetic moment = 19.00 μB/f.u.; space-group type = No. 1; ρ = 5.22 Mg/m³
1.0
6.0020 0.0000 0.0000
-2.9901 5.2574 0.0000
-0.0249 -0.0269 9.7888
Li O W Fe V
4 16 2 3 3
Cartesian
0.0035 -0.0179 9.6967
-0.0120 3.4631 8.8290
3.0029 1.7125 3.9674
5.9731 -0.0092 4.7814
1.4557 4.2737 5.7943
-0.0038 1.7715 5.8121
2.9615 0.1760 8.2348
1.2837 2.6294 3.4730
2.9815 3.5320 0.8192
-0.0226 0.1560 2.9534
-1.4805 4.2839 5.7808
4.4833 1.0067 0.8602
1.4636 1.0004 0.9064
2.9868 5.2112 7.8319
0.0162 4.9966 3.5743
4.3301 2.5127 8.2224
1.6802 2.4912 8.2686
-1.2772 2.6472 3.4765
2.9829 1.7395 5.9555
-0.0054 3.3517 1.1035
-0.0201 3.4927 4.7590
3.0011 1.7724 9.6806
-1.4914 4.3959 2.0452
2.9884 3.4219 7.0151
1.4944 4.3873 2.0539
0.0529 1.8270 2.1334
1.5247 0.8580 6.9915
4.4430 0.8731 6.9948

---

Run 2
Li4V3Fe3W2O16 (GGA+U, relaxed); magnetic moment = 17.00 μB/f.u.; space-group type = No. 8; ρ = 5.18 Mg/m³
1.0
-5.8910 -0.1189 -1.3657
-3.7868 -3.4112 3.2568
-1.7124 7.4910 6.1147
O W Fe V Li
16 2 3 3 4
Cartesian
-4.5932 0.0157 0.1991
-7.4022 -0.7093 4.5469
-4.5293 6.1826 4.6703
-6.1338 1.5527 5.7744
-6.8059 -1.5775 1.9745
-8.9943 1.5279 5.1823
-4.3051 3.3642 4.3557
-11.0071 2.4812 6.7775
-3.5827 -1.5653 2.4189
-7.1302 3.1117 3.5853
-8.2957 0.6887 2.5840
-3.5763 4.6915 6.7640
-5.6967 0.8294 3.1838
-1.7879 0.0033 0.8162
-10.0558 -1.2613 3.6790
-6.0963 4.6583 6.0927
-7.2537 1.3215 4.2430
-4.8792 6.2428 6.6672
-6.5110 0.3405 1.2652
-2.8514 4.7326 4.6685
-5.4803 -1.2722 3.5296
-8.3531 -1.2438 2.9165
-4.6813 3.1131 6.2839
-5.7093 4.7214 4.0256
-10.4931 0.1326 4.8709
-8.0366 4.4111 6.7998
-11.3372 3.8889 7.9303
-3.9703 1.8504 3.1252

---

Relative energies, in eV/atom, with the most stable structure set to zero: run 1 0.018; run 2 0.000.

---

Run 1
LuFe2O4 (GGA+U, relaxed); magnetic moment = 9.00 μB/f.u.; space-group type = No. 12; ρ = 6.59 Mg/m³
1.0
2.2214 0.3678 5.5925
3.5052 -1.8759 -4.5322
6.7282 15.3849 -2.5563
O Lu Fe
24 6 12
Cartesian
2.2619 0.4675 0.1832
8.3058 9.3525 -2.7932
5.1934 -0.7242 -0.9157
5.1776 10.4604 -1.6616
5.7050 7.7683 -2.7269
7.2773 3.4164 0.1656
4.3302 2.7533 3.5095
7.6744 13.8792 -3.8373
7.8835 10.0905 0.5372
5.1802 1.2676 -3.1946
4.0138 6.5465 -0.9418
4.8035 1.9741 0.1716
8.1247 11.1235 -5.0054
4.1490 4.5243 1.2972
6.7498 6.1085 1.2309
7.6513 11.9027 -1.6676
7.1614 5.3892 -2.0150
4.7804 -0.0024 2.3414
10.1929 13.4093 -1.6792
7.2614 14.6010 -0.5803
8.4410 7.3303 -0.5541
5.2934 8.4876 0.5190
7.2746 12.6092 1.6986
4.5713 3.7863 -2.0332
3.1268 3.3823 -0.3531
9.3281 10.4945 -1.1429
6.2208 11.5123 0.0469
6.6515 10.7594 -3.3504
6.2341 2.3645 -1.5429
5.8033 3.1174 1.8544
4.5981 -0.6123 -2.8679
7.8387 5.2842 -0.1771
5.1625 5.6738 -2.3999
8.2772 13.7588 -1.9996
7.7202 7.4552 -2.4704
4.7346 6.4216 0.9744
3.7442 0.8801 3.8664
7.8567 14.4891 1.3719
7.2924 8.2030 0.9039
4.6161 8.5926 -1.3189
4.1776 0.1180 0.5036
8.7106 12.9967 -5.3623

---

Run 2
LuFe2O4 (GGA+U, relaxed); magnetic moment = 9.00 μB/f.u.; space-group type = No. 166; ρ = 6.60 Mg/m³
1.0
-8.4275 0.3435 -2.0920
-8.5820 -0.5021 1.2706
-8.2135 2.8188 0.3315
Lu O Fe
1 4 2
Cartesian
0.0000 0.0000 0.0000
-7.3903 0.7794 -0.1436
-21.9854 2.3187 -0.4271
-3.2376 0.3414 -0.0629
-17.8327 1.8807 -0.3464
-19.8166 2.0899 -0.3849
-5.4064 0.5702 -0.1050

---

Relative energies, in eV/atom, with the most stable structure set to zero: run 1 0.000; run 2 0.054.

---

Run 1
MgMn4Fe2O8 (GGA+U, relaxed); magnetic moment = 26.00 μB/f.u.; space-group type = No. 2; ρ = 4.58 Mg/m³
1.0
-3.0879 3.0219 4.4423
3.1126 -3.4443 4.6786
2.9595 3.3235 -4.6692
Mg Mn O Fe
1 4 8 2
Cartesian
-0.0933 4.7063 0.9700
1.4507 3.1953 -1.2512
-0.0167 1.3223 5.6439
3.0070 1.4731 1.0881
1.5273 -0.1886 3.4227
1.5110 3.2529 0.9892
4.5030 -0.3066 1.1870
1.6470 -0.3193 5.7605
2.9109 1.2494 3.4760
0.1281 1.1592 3.6948
1.4075 -0.0579 1.0850
3.1031 1.6969 -1.2998
2.9264 -1.5365 3.1506
-0.0390 2.6439 2.4361
3.0936 -3.0211 4.4093

---

Run 2
MgMn4Fe2O8 (GGA+U, relaxed); magnetic moment = 30.00 μB/f.u.; space-group type = No. 119; ρ = 4.07 Mg/m³
1.0
-3.0585 3.0581 5.2791
3.0584 -3.0582 5.2791
3.0582 3.0578 -5.2792
Mn Mg Fe O
4 1 2 8
Cartesian
3.0583 1.5096 1.8577
-0.0003 1.5480 7.1370
1.5480 -0.0002 3.4218
1.5101 3.0581 -1.8573
0.0000 0.0000 5.2793
-0.0002 3.0579 2.6388
3.0582 3.0578 -5.2791
1.5425 0.0000 1.2826
1.6224 3.0577 1.4733
3.0580 1.5153 3.9967
3.0581 1.6219 -1.4739
0.0000 1.4359 3.8052
3.0585 -1.5157 3.9968
4.5741 -0.0004 1.2826
1.4357 0.0000 6.7525

---

Run 3
MgMn4Fe2O8 (GGA+U, relaxed); magnetic moment = 18.00 μB/f.u.; space-group type = No. 1; ρ = 4.54 Mg/m³
1.0
5.2843 -0.0099 3.0416
1.6425 5.2418 3.2316
-0.1515 0.1215 6.3506
Fe O Mn Mg
2 8 4 1
Cartesian
3.8830 3.5642 8.0840
4.2813 3.2410 4.7409
2.6626 2.0159 7.5250
5.0919 2.3504 9.3981
3.4306 4.2296 6.2296
5.8688 4.5709 8.0951
5.2381 1.8851 6.0228
2.6950 1.8680 4.6081
3.3948 4.7501 9.6759
5.6890 4.8567 11.0750
5.2183 0.1730 3.2356
1.5121 3.6479 6.8645
2.0053 0.9553 2.7474
3.4272 0.7409 6.2193
0.8521 2.5758 4.5984

---

Run 4
MgMn4Fe2O8 (GGA+U, relaxed); magnetic moment = 28.00 μB/f.u.; space-group type = No. 2; ρ = 4.57 Mg/m³
1.0
5.3740 0.1218 2.9312
1.8283 5.0192 3.0686
-0.3263 -0.0482 6.3805
Fe Mn O Mg
2 4 8 1
Cartesian
4.4607 3.2071 4.5474
4.2975 3.1830 7.7377
1.6105 3.1221 6.2721
3.3834 0.6734 6.2034
1.9448 1.5568 2.7412
6.9765 4.8575 6.3537
6.2157 4.3593 10.7033
3.5035 4.4953 6.3296
5.2026 2.0626 6.1698
2.6439 2.0865 7.5346
2.3793 2.0068 4.7721
3.3925 4.3035 9.3056
5.0916 1.8707 9.1458
5.9511 4.2796 7.9408
0.6964 0.6125 4.7378

---

Relative energies, in eV/atom, with the most stable structure set to zero: run 1 0.011; run 2 0.373; run 3 0.046; run 4 0.000.

---

Run 1
MgMn4Fe2O8 (GGA+U, relaxed); magnetic moment = 28.00 μB/f.u.; space-group type = No. 1; ρ = 4.42 Mg/m³
1.0
-2.0134 -5.1108 3.7724
-0.9902 -5.9263 -2.1580
3.9902 -4.6785 1.5818
Mn Mg O Fe
4 1 8 2
Cartesian
2.1868 -6.8912 0.2997
-0.2329 -4.4500 0.9406
-2.8752 -10.7511 1.6261
1.3508 -6.6838 2.9853
1.5957 -2.4472 0.8467
0.6550 -13.4826 2.5992
-0.8133 -8.6616 3.0393
-0.3024 -9.0788 0.2464
1.8665 -11.0959 0.9575
1.5493 -10.5612 3.6072
-0.9216 -11.5346 1.9772
2.0337 -8.2383 1.9643
0.4870 -6.2567 1.3149
0.5773 -9.7479 1.9767
-1.2983 -7.4771 1.1560

---

Run 2
MgMn4Fe2O8 (GGA+U, relaxed); magnetic moment = 28.00 μB/f.u.; space-group type = No. 2; ρ = 4.58 Mg/m³
1.0
-3.2520 -3.5850 3.7796
0.1312 -6.2433 -1.2062
2.7506 -3.5673 4.1611
O Mn Mg Fe
8 4 1 2
Cartesian
-1.6973 -9.8174 3.7742
-0.0336 -5.1597 2.4112
-1.7353 -6.9187 4.3767
-0.4552 -8.8424 6.1445
1.2726 -9.8257 4.0415
-0.0075 -7.9021 2.2736
1.2346 -6.9270 4.6439
-0.4290 -11.5847 6.0070
-0.5345 -7.4746 7.5730
-0.2970 -5.2506 4.8122
-0.0594 -3.0265 2.0514
1.3946 -6.5797 2.3193
0.0194 -4.7961 0.2387
-0.2313 -8.3722 4.2091
-1.6066 -6.5886 2.1285

---

Relative energies, in eV/atom, with the most stable structure set to zero: run 1 0.071; run 2 0.000.